[1]
# NdTa3O9

A relaxed NdTa3O9 crystal (PBE, the Materials Project database).

Values from the calculation:
The polymorph energy (0 for the lowest one) comes out at 48 meV per atom. The calculation puts the energy at -1237.0 eV for the cell shown. The volume comes out at 14.441 Å³ per atom. For the formation energy, the calculation gives -3462.1 meV/atom.

a b c (Å): 11.8121 12.6091 14.8639
angles (deg): 90.00 122.00 90.00
Space group P2_1/c (No. 14)
Unique sites:
Nd 0.0000 0.0000 0.0000
Nd 0.2348 0.1459 0.3542
Nd 0.3312 0.0016 0.9988
Ta 0.0243 0.0802 0.7873
Ta 0.1138 0.7106 0.4196
Ta 0.1661 0.5046 0.0044
Ta 0.2193 0.2124 0.0795
Ta 0.3077 0.5798 0.7100
Ta 0.3599 0.0809 0.7891
Ta 0.4452 0.7103 0.4192
Ta 0.5000 0.0000 0.5000
O 0.0000 0.0000 0.5000
O 0.0006 0.7245 0.7749
O 0.0514 0.1915 0.0763
O 0.0789 0.0092 0.3396
O 0.0819 0.5601 0.3676
O 0.1239 0.1300 0.9395
O 0.1280 0.5727 0.6925
O 0.1632 0.6546 0.9908
O 0.1793 0.1609 0.4903
O 0.2050 0.0758 0.8087
O 0.2045 0.6323 0.5599
O 0.2555 0.0608 0.1310
O 0.2728 0.0090 0.6550
O 0.2833 0.6974 0.4247
O 0.2997 0.2252 0.7231
O 0.3324 0.0043 0.4964
O 0.3595 0.7110 0.7887
O 0.3777 0.0091 0.3406
O 0.3820 0.1908 0.0738
O 0.4103 0.5595 0.3683
O 0.4592 0.1336 0.9393
O 0.4636 0.5771 0.6951
O 0.4788 0.1589 0.4922

=====

[2]
# Ba8Ge43Pd3

A relaxed Ba8Ge43Pd3 crystal (PBE, the Materials Project database).

Values from the calculation:
The calculation puts the energy at -734.3 eV for the cell shown. The volume comes out at 24.359 Å³ per atom. For the formation energy, the calculation gives -279.3 meV/atom.

a b c (Å): 15.5303 15.5303 18.8923
angles (deg): 90.00 90.00 120.00
Space group R32 (No. 155, hexagonal axes)
Unique sites:
Ba 0.0000 0.0000 0.2483
Ba 0.0000 0.2458 0.0000
Ba 0.0000 0.7458 0.5000
Ge 0.0000 0.0000 0.0672
Ge 0.0000 0.0000 0.4344
Ge 0.0000 0.2506 0.5000
Ge 0.0227 0.8537 0.1035
Ge 0.0256 0.1661 0.6091
Ge 0.0636 0.2428 0.1863
Ge 0.0649 0.8128 0.6849
Ge 0.0883 0.5439 0.4775
Ge 0.0881 0.5444 0.9788
Pd 0.0000 0.7496 0.0000

=====

[3]
# Ta2N

A relaxed Ta2N crystal (PBE, the Materials Project database).

Values from the calculation:
The calculation puts the energy at -104.4 eV for the cell shown. The volume comes out at 13.517 Å³ per atom. For the formation energy, the calculation gives -1036.7 meV/atom.

a b c (Å): 5.3185 5.3185 4.9661
angles (deg): 90.00 90.00 120.00
Space group P-31m (No. 162)
Unique sites:
Ta 0.0000 0.3334 0.2534
N 0.0000 0.0000 0.5000
N 0.3333 0.6667 0.0000

=====

[4]
# La6Al3Ni4SnRu

A relaxed La6Al3Ni4SnRu crystal (PBE, the Materials Project database).

Values from the calculation:
The calculation puts the energy at -85.1 eV for the cell shown. The volume comes out at 22.701 Å³ per atom. For the formation energy, the calculation gives -520.0 meV/atom.

a b c (Å): 9.5914 9.5914 4.2740
angles (deg): 90.00 90.00 120.00
Space group P-6m2 (No. 187)
Unique sites:
La 0.0145 0.5073 0.0000
La 0.1264 0.2527 0.5000
Al 0.4752 0.2376 0.5000
Ni 0.3119 0.1559 0.0000
Ni 0.6667 0.3333 0.0000
Sn 0.3333 0.6667 0.5000
Ru 0.0000 0.0000 0.0000